Density functional theory data (GGA+U) for a geometry-optimized Fe5O7F3 structure.

Properties
Crystal system: triclinic
Size of the total moment (μB/cell): 46.00

abc: 4.661 4.671 15.196
angles: 89.66 89.79 88.40
Element x y z (fractional)
Fe 0.000 0.000 0.000
Fe 0.002 0.995 0.799
Fe 0.018 0.969 0.405
Fe 0.474 0.475 0.099
Fe 0.479 0.463 0.707
Fe 0.500 0.500 0.500
Fe 0.521 0.537 0.293
Fe 0.526 0.525 0.901
Fe 0.982 0.031 0.595
Fe 0.998 0.005 0.201
O 0.173 0.182 0.702
O 0.178 0.181 0.100
O 0.200 0.200 0.498
O 0.297 0.696 0.196
O 0.306 0.693 0.000
O 0.308 0.696 0.802
O 0.329 0.685 0.399
O 0.671 0.315 0.601
O 0.692 0.304 0.198
O 0.694 0.307 0.000
O 0.703 0.304 0.804
O 0.800 0.800 0.502
O 0.822 0.819 0.900
O 0.827 0.818 0.298
F 0.207 0.202 0.900
F 0.213 0.200 0.301
F 0.285 0.699 0.604
F 0.715 0.301 0.396
F 0.787 0.800 0.699
F 0.793 0.798 0.100


Density functional theory data (GGA+U) for a geometry-optimized MnH8Br2O4 structure.

Properties
Crystal system: monoclinic

abc: 6.334 9.932 12.407
angles: 90.00 111.79 90.00
Element x y z (fractional)
Mn 0.248 0.168 0.264
Mn 0.248 0.332 0.764
Mn 0.752 0.668 0.236
Mn 0.752 0.832 0.736
H 0.002 0.564 0.641
H 0.002 0.936 0.141
H 0.022 0.203 0.417
H 0.022 0.297 0.917
H 0.126 0.563 0.433
H 0.126 0.937 0.933
H 0.175 0.696 0.207
H 0.175 0.804 0.707
H 0.213 0.567 0.888
H 0.213 0.933 0.388
H 0.433 0.521 0.299
H 0.433 0.979 0.799
H 0.472 0.564 0.899
H 0.472 0.936 0.399
H 0.496 0.648 0.378
H 0.496 0.852 0.878
H 0.504 0.148 0.122
H 0.504 0.352 0.622
H 0.528 0.064 0.601
H 0.528 0.436 0.101
H 0.567 0.021 0.201
H 0.567 0.479 0.701
H 0.787 0.067 0.612
H 0.787 0.433 0.112
H 0.825 0.196 0.293
H 0.825 0.304 0.793
H 0.874 0.063 0.067
H 0.874 0.437 0.567
H 0.978 0.703 0.083
H 0.978 0.797 0.583
H 0.998 0.064 0.859
H 0.998 0.436 0.359
Br 0.149 0.133 0.610
Br 0.149 0.367 0.110
Br 0.467 0.685 0.558
Br 0.467 0.815 0.058
Br 0.533 0.185 0.942
Br 0.533 0.315 0.442
Br 0.851 0.633 0.890
Br 0.851 0.867 0.390
O 0.010 0.034 0.132
O 0.010 0.466 0.632
O 0.019 0.731 0.166
O 0.019 0.769 0.666
O 0.324 0.519 0.864
O 0.324 0.981 0.364
O 0.460 0.619 0.296
O 0.460 0.881 0.796
O 0.540 0.119 0.204
O 0.540 0.381 0.704
O 0.676 0.019 0.636
O 0.676 0.481 0.136
O 0.981 0.231 0.334
O 0.981 0.269 0.834
O 0.990 0.534 0.368
O 0.990 0.966 0.868


Density functional theory data (GGA+U) for a geometry-optimized Na2FeO4 structure.

Properties
Crystal system: triclinic
Size of the total moment (μB/cell): 4.00

abc: 5.574 5.703 8.677
angles: 83.18 71.72 66.84
Element x y z (fractional)
Na 0.111 0.236 0.144
Na 0.277 0.737 0.429
Na 0.723 0.263 0.571
Na 0.889 0.764 0.856
Fe 0.198 0.191 0.747
Fe 0.802 0.809 0.253
O 0.048 0.688 0.085
O 0.108 0.010 0.656
O 0.231 0.437 0.630
O 0.493 0.031 0.785
O 0.507 0.969 0.215
O 0.769 0.563 0.370
O 0.892 0.990 0.344
O 0.952 0.312 0.915


Density functional theory data (GGA+U) for a geometry-optimized Na3W4O6 structure.

Properties
Crystal system: orthorhombic
Size of the total moment (μB/cell): 10.25

abc: 6.479 6.479 6.479
angles: 106.66 103.22 118.98
Element x y z (fractional)
Na 0.000 0.000 0.000
Na 0.464 0.464 0.000
Na 0.953 0.453 0.500
W 0.479 0.490 0.511
W 0.479 0.968 0.989
W 0.979 0.490 0.011
W 0.979 0.968 0.489
O 0.220 0.501 0.281
O 0.220 0.938 0.719
O 0.470 0.228 0.242
O 0.737 0.530 0.792
O 0.737 0.945 0.208
O 0.986 0.228 0.758


Density functional theory data (GGA+U) for a geometry-optimized Co2OF3 structure.

Properties
Crystal system: orthorhombic
Size of the total moment (μB/cell): 1.46

abc: 7.114 7.114 6.819
angles: 90.00 90.00 128.65
Element x y z (fractional)
Co 0.124 0.876 0.750
Co 0.125 0.375 0.750
Co 0.374 0.626 0.250
Co 0.375 0.125 0.250
Co 0.625 0.875 0.750
Co 0.626 0.374 0.750
Co 0.875 0.625 0.250
Co 0.876 0.124 0.250
O 0.030 0.970 0.250
O 0.280 0.720 0.750
O 0.720 0.280 0.250
O 0.970 0.030 0.750
F 0.125 0.375 0.051
F 0.125 0.375 0.449
F 0.223 0.777 0.250
F 0.375 0.125 0.551
F 0.375 0.125 0.949
F 0.474 0.526 0.750
F 0.526 0.474 0.250
F 0.625 0.875 0.051
F 0.625 0.875 0.449
F 0.777 0.223 0.750
F 0.875 0.625 0.551
F 0.875 0.625 0.949


Density functional theory data (GGA+U) for a geometry-optimized La5Sm3VCr7O20 structure.

Properties
Crystal system: triclinic
Size of the total moment (μB/cell): 124.00

abc: 11.037 11.483 17.718
angles: 108.76 107.69 90.76
Element x y z (fractional)
La 0.000 0.000 0.000
La 0.001 0.498 0.002
La 0.133 0.134 0.767
La 0.133 0.136 0.270
La 0.135 0.629 0.765
La 0.135 0.632 0.266
La 0.254 0.759 0.999
La 0.256 0.254 0.002
La 0.385 0.890 0.766
La 0.386 0.389 0.765
La 0.394 0.891 0.269
La 0.502 0.999 0.002
La 0.503 0.499 0.003
La 0.634 0.131 0.763
La 0.634 0.629 0.764
La 0.636 0.133 0.267
La 0.750 0.759 0.002
La 0.758 0.257 0.504
La 0.884 0.891 0.767
La 0.885 0.391 0.767
Sm 0.007 0.494 0.497
Sm 0.010 0.998 0.499
Sm 0.257 0.258 0.501
Sm 0.260 0.756 0.499
Sm 0.393 0.390 0.271
Sm 0.503 0.496 0.499
Sm 0.505 0.998 0.500
Sm 0.639 0.632 0.268
Sm 0.747 0.258 0.998
Sm 0.752 0.757 0.497
Sm 0.885 0.391 0.269
Sm 0.886 0.897 0.273
V 0.079 0.802 0.630
V 0.086 0.313 0.135
V 0.087 0.809 0.137
V 0.329 0.577 0.137
Cr 0.077 0.314 0.633
Cr 0.187 0.447 0.383
Cr 0.189 0.945 0.882
Cr 0.191 0.944 0.385
Cr 0.192 0.444 0.886
Cr 0.319 0.069 0.136
Cr 0.320 0.068 0.632
Cr 0.323 0.571 0.631
Cr 0.440 0.196 0.386
Cr 0.441 0.693 0.385
Cr 0.441 0.693 0.883
Cr 0.442 0.194 0.884
Cr 0.572 0.315 0.633
Cr 0.575 0.323 0.136
Cr 0.579 0.814 0.632
Cr 0.580 0.818 0.136
Cr 0.690 0.447 0.385
Cr 0.690 0.946 0.884
Cr 0.691 0.445 0.886
Cr 0.693 0.943 0.387
Cr 0.825 0.069 0.633
Cr 0.826 0.575 0.632
Cr 0.826 0.576 0.137
Cr 0.828 0.078 0.135
Cr 0.939 0.197 0.886
Cr 0.940 0.196 0.386
Cr 0.940 0.696 0.386
Cr 0.941 0.695 0.885
O 0.021 0.636 0.134
O 0.025 0.119 0.630
O 0.029 0.134 0.135
O 0.030 0.625 0.629
O 0.050 0.312 0.360
O 0.050 0.807 0.359
O 0.055 0.805 0.862
O 0.056 0.309 0.866
O 0.074 0.088 0.907
O 0.079 0.583 0.907
O 0.083 0.592 0.413
O 0.086 0.084 0.410
O 0.103 0.423 0.258
O 0.111 0.922 0.258
O 0.117 0.919 0.754
O 0.121 0.418 0.759
O 0.236 0.461 0.507
O 0.236 0.958 0.509
O 0.249 0.972 0.010
O 0.254 0.466 0.011
O 0.265 0.762 0.629
O 0.266 0.750 0.134
O 0.272 0.267 0.140
O 0.274 0.260 0.630
O 0.300 0.318 0.357
O 0.307 0.807 0.360
O 0.308 0.310 0.863
O 0.308 0.809 0.863
O 0.328 0.080 0.905
O 0.329 0.578 0.907
O 0.332 0.077 0.413
O 0.332 0.579 0.410
O 0.371 0.592 0.757
O 0.373 0.089 0.259
O 0.375 0.093 0.759
O 0.376 0.585 0.261
O 0.480 0.305 0.510
O 0.484 0.802 0.509
O 0.498 0.796 0.011
O 0.501 0.295 0.010
O 0.514 0.132 0.135
O 0.516 0.121 0.629
O 0.518 0.632 0.140
O 0.524 0.625 0.629
O 0.552 0.311 0.359
O 0.556 0.806 0.860
O 0.558 0.305 0.862
O 0.559 0.798 0.359
O 0.579 0.085 0.907
O 0.580 0.579 0.908
O 0.581 0.589 0.413
O 0.582 0.077 0.409
O 0.616 0.429 0.260
O 0.621 0.421 0.760
O 0.623 0.921 0.758
O 0.626 0.924 0.262
O 0.731 0.962 0.511
O 0.732 0.464 0.509
O 0.743 0.969 0.010
O 0.746 0.465 0.011
O 0.771 0.256 0.635
O 0.782 0.271 0.134
O 0.786 0.772 0.140
O 0.791 0.766 0.630
O 0.803 0.319 0.360
O 0.804 0.805 0.360
O 0.805 0.311 0.863
O 0.808 0.813 0.866
O 0.825 0.083 0.909
O 0.829 0.579 0.909
O 0.833 0.582 0.414
O 0.837 0.071 0.413
O 0.862 0.586 0.261
O 0.869 0.090 0.259
O 0.870 0.594 0.759
O 0.873 0.095 0.760
O 0.983 0.295 0.012
O 0.984 0.804 0.511
O 0.991 0.304 0.511
O 0.998 0.798 0.013


Density functional theory data (GGA+U) for a geometry-optimized KCrIO6 structure.

Properties
Crystal system: monoclinic
Size of the total moment (μB/cell): 0.00

abc: 9.368 4.872 14.307
angles: 90.00 107.52 90.00
Element x y z (fractional)
K 0.100 0.089 0.164
K 0.100 0.411 0.664
K 0.900 0.589 0.336
K 0.900 0.911 0.836
Cr 0.223 0.537 0.972
Cr 0.223 0.963 0.472
Cr 0.777 0.037 0.528
Cr 0.777 0.463 0.028
I 0.429 0.668 0.336
I 0.429 0.832 0.836
I 0.571 0.168 0.164
I 0.571 0.332 0.664
O 0.121 0.082 0.366
O 0.121 0.418 0.866
O 0.123 0.750 0.013
O 0.123 0.750 0.513
O 0.243 0.583 0.262
O 0.243 0.917 0.762
O 0.288 0.210 0.551
O 0.288 0.290 0.051
O 0.383 0.722 0.954
O 0.383 0.778 0.454
O 0.444 0.011 0.287
O 0.444 0.489 0.787
O 0.556 0.511 0.213
O 0.556 0.989 0.713
O 0.617 0.222 0.546
O 0.617 0.278 0.046
O 0.712 0.710 0.949
O 0.712 0.790 0.449
O 0.757 0.083 0.238
O 0.757 0.417 0.738
O 0.877 0.250 0.487
O 0.877 0.250 0.987
O 0.879 0.582 0.134
O 0.879 0.918 0.634


Density functional theory data (GGA+U) for a geometry-optimized Ca2VFe4BiO12 structure.

Properties
Crystal system: triclinic
Size of the total moment (μB/cell): 80.00

abc: 10.926 10.942 10.959
angles: 109.62 109.35 109.34
Element x y z (fractional)
Ca 0.122 0.246 0.374
Ca 0.249 0.376 0.124
Ca 0.250 0.876 0.627
Ca 0.376 0.125 0.247
Ca 0.624 0.875 0.753
Ca 0.750 0.124 0.373
Ca 0.751 0.624 0.876
Ca 0.878 0.754 0.626
V 0.000 0.000 0.000
V 0.000 0.500 0.500
V 0.500 0.000 0.500
V 0.500 0.500 0.500
Fe 0.000 0.000 0.500
Fe 0.000 0.500 0.000
Fe 0.123 0.750 0.872
Fe 0.128 0.878 0.249
Fe 0.246 0.123 0.871
Fe 0.251 0.626 0.375
Fe 0.375 0.251 0.623
Fe 0.375 0.628 0.748
Fe 0.500 0.000 0.000
Fe 0.500 0.500 0.000
Fe 0.625 0.372 0.252
Fe 0.625 0.749 0.377
Fe 0.749 0.374 0.625
Fe 0.754 0.877 0.129
Fe 0.872 0.122 0.751
Fe 0.877 0.250 0.128
Bi 0.127 0.365 0.752
Bi 0.378 0.749 0.118
Bi 0.622 0.251 0.882
Bi 0.873 0.635 0.248
O 0.019 0.190 0.114
O 0.023 0.320 0.901
O 0.074 0.688 0.670
O 0.082 0.879 0.401
O 0.095 0.973 0.676
O 0.096 0.612 0.424
O 0.115 0.020 0.189
O 0.122 0.600 0.920
O 0.172 0.484 0.594
O 0.179 0.206 0.583
O 0.187 0.111 0.016
O 0.201 0.579 0.179
O 0.292 0.323 0.915
O 0.312 0.484 0.390
O 0.320 0.902 0.023
O 0.330 0.926 0.311
O 0.382 0.587 0.905
O 0.387 0.311 0.481
O 0.404 0.828 0.515
O 0.406 0.086 0.879
O 0.420 0.823 0.795
O 0.421 0.094 0.609
O 0.479 0.598 0.179
O 0.482 0.388 0.311
O 0.518 0.612 0.689
O 0.521 0.402 0.821
O 0.579 0.906 0.391
O 0.580 0.177 0.205
O 0.594 0.914 0.121
O 0.596 0.172 0.485
O 0.613 0.689 0.519
O 0.618 0.413 0.095
O 0.670 0.074 0.689
O 0.680 0.098 0.977
O 0.688 0.516 0.610
O 0.708 0.677 0.085
O 0.799 0.421 0.821
O 0.813 0.889 0.984
O 0.821 0.794 0.417
O 0.828 0.516 0.406
O 0.878 0.400 0.080
O 0.885 0.980 0.811
O 0.904 0.388 0.576
O 0.905 0.027 0.324
O 0.918 0.121 0.599
O 0.926 0.312 0.330
O 0.977 0.680 0.099
O 0.981 0.810 0.886


| no. | electronic total energy (eV for the cell shown) |
| --- | --- |
| 1 | -182.356 |
| 2 | -292.669 |
| 3 | -70.361 |
| 4 | -74.735 |
| 5 | -116.772 |
| 6 | -1149.819 |
| 7 | -196.585 |
| 8 | -536.189 |